Compound: Cs4Sc6CCl13
Source: the Materials Project
Functional: GGA-PBE
Structure: optimized geometry

POSCAR file:
```
Cs4Sc6CCl13
1.0
-7.766 7.766 5.261
7.766 -7.766 5.261
7.766 7.766 -5.261
Cs Sc C Cl
8 12 2 26
Direct
0.220 0.470 0.440 Cs
0.220 0.780 0.750 Cs
0.470 0.220 0.940 Cs
0.470 0.530 0.250 Cs
0.530 0.470 0.750 Cs
0.530 0.780 0.060 Cs
0.780 0.220 0.250 Cs
0.780 0.530 0.560 Cs
0.018 0.123 0.895 Sc
0.089 0.339 0.750 Sc
0.123 0.018 0.395 Sc
0.123 0.729 0.105 Sc
0.271 0.877 0.395 Sc
0.339 0.089 0.250 Sc
0.661 0.911 0.750 Sc
0.729 0.123 0.605 Sc
0.877 0.271 0.895 Sc
0.877 0.982 0.605 Sc
0.911 0.661 0.250 Sc
0.982 0.877 0.105 Sc
0.125 0.875 0.250 C
0.875 0.125 0.750 C
0.040 0.290 0.080 Cl
0.040 0.960 0.750 Cl
0.046 0.629 0.417 Cl
0.122 0.206 0.584 Cl
0.122 0.539 0.916 Cl
0.206 0.122 0.084 Cl
0.288 0.371 0.917 Cl
0.290 0.040 0.580 Cl
0.290 0.710 0.250 Cl
0.371 0.288 0.417 Cl
0.371 0.954 0.083 Cl
0.375 0.625 0.750 Cl
0.461 0.878 0.584 Cl
0.539 0.122 0.416 Cl
0.625 0.375 0.250 Cl
0.629 0.046 0.917 Cl
0.629 0.712 0.583 Cl
0.710 0.290 0.750 Cl
0.710 0.960 0.420 Cl
0.712 0.629 0.083 Cl
0.794 0.878 0.916 Cl
0.878 0.461 0.084 Cl
0.878 0.794 0.416 Cl
0.954 0.371 0.583 Cl
0.960 0.040 0.250 Cl
0.960 0.710 0.920 Cl
```

Results
**Energy of formation from the pure elements**: -2192 meV/atom
**E**: -4.9780 eV/atom
**Symmetry**: I4_1/amd (141)
**Theoretical density**: 3.33 Mg/m³
**Size of the total moment**: 1.999 Bohr magnetons per cell